DFT (meta-GGA r2SCAN) results for K2Mg5Sn3 after structural relaxation.

Structure (POSCAR):
```
K2Mg5Sn3
1.0
-2.483 2.483 11.657
2.483 -2.483 11.657
2.483 2.483 -11.657
K Mg Sn
2 5 3
direct
0.199 0.199 0.000
0.801 0.801 0.000
0.080 0.580 0.500
0.420 0.920 0.500
0.500 0.500 0.000
0.580 0.080 0.500
0.920 0.420 0.500
0.000 0.000 0.000
0.359 0.359 0.000
0.641 0.641 0.000
```

Its symmetry is I4/mmm, No. 139. The total energy comes out at -10.982 eV per atom. The calculation puts the volume at 287.40 Å³ per cell. As for the formation energy: -0.27 eV/atom.